Entry 1:
Here is an optimized crystal structure of AlFe4Hg2O2F from the Materials Project. Energies are from GGA+U. Values from VASP.

Calculated values
energy of formation from the pure elements = -2.26 eV/f.u.
space group = I4cm, No. 108
M_tot = 16.0 μB per formula unit
calculated total energy = -4.144 eV per atom
ΔE to the lowest computed polymorph = 0.000 eV/atom

```
&SYSTEM
  ibrav = 0, nat = 20, ntyp = 5
/
ATOMIC_SPECIES
Hg 200.59 Hg.upf
Fe 55.84 Fe.upf
Al 26.98 Al.upf
O 16.00 O.upf
F 19.00 F.upf
ATOMIC_POSITIONS angstrom
Hg 3.479 -1.518 4.821
Hg 1.518 6.515 0.167
Hg 1.518 3.479 4.821
Hg 3.479 1.518 0.167
Fe 5.393 -2.789 2.881
Fe 5.393 2.789 -1.773
Fe 2.789 5.393 2.881
Fe -2.789 4.601 2.881
Fe 4.601 2.789 2.881
Fe 2.208 0.396 2.881
Fe 2.789 4.601 -1.773
Fe -0.396 2.208 2.881
Al 0.000 0.000 1.492
Al 0.000 0.000 6.146
O 3.364 1.633 3.627
O 1.633 3.364 -1.027
O -1.633 3.364 3.627
O 6.630 1.633 -1.027
F 0.000 0.000 4.398
F 0.000 0.000 9.052
CELL_PARAMETERS angstrom
-4.997 4.997 4.654
4.997 -4.997 4.654
4.997 4.997 -4.654
```

Entry 2:
Here is an optimized crystal structure of KAlFe2F2 from the Materials Project. Energies are from GGA+U. Values from VASP.

Calculated values
energy of formation from the pure elements = -3.05 eV/f.u.
space group = P4/mbm, No. 127
M_tot = 6.4 μB per formula unit
calculated total energy = -3.873 eV per atom

```
&SYSTEM
  ibrav = 0, nat = 12, ntyp = 4
/
ATOMIC_SPECIES
F 19.00 F.upf
K 39.10 K.upf
Fe 55.84 Fe.upf
Al 26.98 Al.upf
ATOMIC_POSITIONS angstrom
F 0.000 0.000 4.802
F 3.233 3.233 4.802
F 0.000 0.000 1.848
F 3.233 3.233 1.848
K 0.000 3.233 3.325
K 3.233 0.000 3.325
Fe 0.951 4.184 0.000
Fe 5.516 2.282 0.000
Fe 4.184 5.516 0.000
Fe 2.282 0.951 0.000
Al 3.233 3.233 0.000
Al 0.000 0.000 0.000
CELL_PARAMETERS angstrom
6.467 0.000 0.000
0.000 6.467 0.000
0.000 0.000 6.650
```

Entry 3:
Here is an optimized crystal structure of Na2AlFeF7 from the Materials Project. Energies are from GGA+U. Values from VASP.

Calculated values
energy of formation from the pure elements = -35.46 eV/f.u.
space group = C2/c, No. 15
M_tot = 4.0 μB per formula unit
calculated total energy = -5.294 eV per atom

```
&SYSTEM
  ibrav = 0, nat = 88, ntyp = 4
/
ATOMIC_SPECIES
F 19.00 F.upf
Na 22.99 Na.upf
Al 26.98 Al.upf
Fe 55.84 Fe.upf
ATOMIC_POSITIONS angstrom
F 0.014 -7.690 12.683
F -0.431 -10.084 10.194
F 1.184 -5.692 4.505
F -4.084 -12.230 15.116
F -3.014 -5.679 4.582
F -2.087 -13.105 6.127
F -0.450 -8.488 20.928
F -0.770 -5.179 12.487
F -4.001 -7.617 16.367
F -3.008 -13.099 19.879
F -2.938 -15.719 22.373
F -3.889 -10.594 20.033
F -2.979 -7.795 9.318
F -0.741 -4.845 3.069
F -2.491 -4.251 0.748
F -2.715 -6.820 1.701
F -2.514 -5.136 8.997
F -1.235 -12.808 13.951
F -3.318 -7.860 12.754
F -3.284 -7.947 19.710
F -4.933 -12.252 18.443
F -0.465 -9.997 3.238
F -4.275 -12.274 22.069
F -2.403 -11.983 1.844
F -3.299 -9.456 2.020
F -0.811 -2.225 0.575
F -0.731 -3.136 9.199
F -1.662 -4.838 16.821
F -1.890 -6.753 6.535
F -0.770 -10.149 13.630
F -1.034 -11.124 21.247
F -2.153 -8.187 4.499
F 0.252 -10.327 6.581
F -0.716 -6.781 10.516
F 0.526 -5.670 0.879
F -2.765 -9.323 22.408
F -0.984 -8.621 0.540
F -1.346 -5.961 21.104
F -3.635 -8.748 6.427
F -3.763 -10.254 10.265
F -3.635 -9.553 14.791
F -0.114 -8.391 8.157
F 0.335 -5.714 7.832
F -1.596 -9.757 18.449
F -2.979 -12.765 10.461
F -1.873 -7.569 14.969
F -0.114 -9.196 16.521
F -3.813 -15.712 18.022
F -0.735 -12.265 18.366
F -1.876 -10.375 7.979
F 0.064 -2.232 4.926
F -3.018 -14.808 13.749
F -1.258 -13.693 22.200
F -1.859 -11.191 16.413
F 0.140 -7.350 2.915
F -3.033 -11.163 12.432
Na -4.321 -9.963 17.407
Na 0.000 0.000 0.000
Na 1.200 -3.434 -0.198
Na 0.572 -7.980 5.541
Na -3.350 -15.689 20.161
Na -0.591 -4.571 5.677
Na -3.075 -5.538 11.672
Na -2.546 -12.901 8.258
Na -3.158 -13.373 17.271
Na -1.794 -10.695 5.372
Na -1.203 -5.043 14.690
Na -0.399 -2.255 2.787
Na -0.667 -2.815 11.905
Na -1.955 -7.249 17.576
Na -1.208 -6.157 -0.431
Na -1.874 -8.972 11.474
Al -0.098 -10.197 8.386
Al -4.593 -12.258 20.255
Al -3.651 -7.747 14.562
Al 0.844 -5.686 2.693
Al 0.534 -6.249 11.707
Al -2.408 -2.723 -0.233
Al -3.344 -7.210 5.504
Al -0.405 -10.734 17.444
Fe -0.027 -8.459 14.597
Fe -2.418 -11.184 14.408
Fe -0.969 -12.973 20.288
Fe -3.722 -9.485 8.351
Fe -2.780 -4.971 2.660
Fe -1.331 -6.760 8.540
Fe -1.597 -8.399 2.505
Fe -2.152 -9.545 20.443
CELL_PARAMETERS angstrom
-4.816 -5.447 -0.465
2.400 -6.867 -0.397
-1.333 -5.630 23.810
```

Entry 4:
Here is an optimized crystal structure of RbAlFe2F2 from the Materials Project. Energies are from GGA+U. Values from VASP.

Calculated values
energy of formation from the pure elements = -3.53 eV/f.u.
space group = P4/mbm, No. 127
M_tot = 6.2 μB per formula unit
calculated total energy = -3.932 eV per atom

```
&SYSTEM
  ibrav = 0, nat = 12, ntyp = 4
/
ATOMIC_SPECIES
F 19.00 F.upf
Al 26.98 Al.upf
Fe 55.84 Fe.upf
Rb 85.47 Rb.upf
ATOMIC_POSITIONS angstrom
F 1.392 1.102 0.451
F 3.440 1.359 5.870
F 3.706 2.933 1.201
F 1.126 -0.472 5.120
Al 0.000 0.000 0.000
Al -0.267 -1.574 4.669
Fe 1.321 -3.442 4.331
Fe -1.854 0.293 5.006
Fe -0.524 -2.222 7.043
Fe -0.010 -0.927 2.294
Rb 4.014 -0.577 2.642
Rb 0.818 3.037 3.678
CELL_PARAMETERS angstrom
-3.463 2.040 5.705
2.929 -5.188 3.633
5.099 4.035 1.652
```